Material: CaAl8Co2
Method: DFT, r2SCAN
State: relaxed

## Properties
The value obtained for the formation energy from the elements is -405.9 meV/atom. The crystal system is orthorhombic.

a = 12.3718 Å, b = 14.3567 Å, c = 3.9330 Å
α = 90.00°, β = 90.00°, γ = 90.00°
Last column: nearest neighbours and their distance in Å.
Space group Pbam (No. 55)
Inequivalent atoms, fractional coordinates:
1 Ca 0.1589 0.1811 0.0000 x4  13 Al 3.10-3.33
2 Al 0.0000 0.0000 0.0000 x2  2 Co 2.33
3 Al 0.0000 0.5000 0.5000 x2  4 Co 2.41, 4 Al 2.61-2.64
4 Al 0.0264 0.8669 0.5000 x4  2 Co 2.54, 6 Al 2.65-2.77
5 Al 0.0471 0.3208 0.5000 x4  2 Co 2.54, 5 Al 2.64-2.81
6 Al 0.0960 0.7454 0.0000 x4  2 Co 2.32-2.34
7 Al 0.1600 0.6188 0.5000 x4  2 Co 2.53, 5 Al 2.61-2.79
8 Al 0.1610 0.4549 0.0000 x4  3 Co 2.47-2.52
9 Al 0.1681 0.0067 0.5000 x4  2 Co 2.49, 3 Al 2.66-2.71
10 Al 0.2355 0.8269 0.5000 x4  2 Co 2.48, 3 Al 2.65-2.71
11 Co 0.0345 0.5927 0.0000 x4  9 Al 2.32-2.54
12 Co 0.1495 0.9015 0.0000 x4  9 Al 2.33-2.54